[1]
VASP calculation (PBE+U) on crystalline Na2FeO3 at its relaxed geometry.

Lattice parameters (Å, degrees): 5.3529 5.3529 11.0232 90.00 90.00 120.00
Atoms (fractional coordinates):
O: 0.3778 0.3778 0.1013
Na: 0.3201 0.3201 0.7500
O: 0.0000 0.6222 0.3987
O: 0.0000 0.3778 0.6013
Fe: 0.3333 0.6667 0.0000
O: 0.6222 0.6222 0.6013
O: 0.0000 0.3778 0.8987
O: 0.3778 0.0000 0.6013
O: 0.6222 0.6222 0.8987
O: 0.3778 0.3778 0.3987
Fe: 0.3333 0.6667 0.5000
Na: 0.0000 0.3201 0.2500
Fe: 0.6667 0.3333 0.0000
Fe: 0.6667 0.3333 0.5000
Na: 0.6799 0.6799 0.2500
Na: 0.0000 0.0000 0.0000
Na: 0.0000 0.0000 0.5000
O: 0.6222 0.0000 0.1013
Na: 0.6799 0.0000 0.7500
O: 0.0000 0.6222 0.1013
Na: 0.3201 0.0000 0.2500
O: 0.3778 0.0000 0.8987
Na: 0.0000 0.6799 0.7500
O: 0.6222 0.0000 0.3987

Summary:
As for the calculated density: 3.638 g cm⁻³. The calculation puts the distance to the lowest polymorph of the same formula at 16 meV/atom.


[2]
VASP calculation (PBE+U) on crystalline Mn4ZnO6 at its relaxed geometry.

Lattice parameters (Å, degrees): 5.3318 5.3318 15.5811 90.00 90.00 146.78
Atoms (fractional coordinates):
Mn: 0.5969 0.4031 0.6405
Mn: 0.5969 0.4031 0.8595
O: 0.9497 0.0503 0.8426
Mn: 0.1357 0.8643 0.0453
O: 0.0503 0.9497 0.1574
O: 0.0503 0.9497 0.3426
O: 0.2197 0.7803 0.9284
Mn: 0.4031 0.5969 0.3595
O: 0.7086 0.2914 0.7500
Zn: 0.3406 0.6594 0.7500
O: 0.9497 0.0503 0.6574
O: 0.2914 0.7086 0.2500
O: 0.5000 0.5000 0.0000
O: 0.7803 0.2197 0.4284
O: 0.2197 0.7803 0.5716
O: 0.7803 0.2197 0.0716
Mn: 0.1357 0.8643 0.4547
Zn: 0.6594 0.3406 0.2500
Mn: 0.8643 0.1357 0.5453
O: 0.5000 0.5000 0.5000
Mn: 0.8643 0.1357 0.9547
Mn: 0.4031 0.5969 0.1405

Summary:
As for the calculated density: 5.216 g cm⁻³.


[3]
VASP calculation (PBE+U) on crystalline Li4Mn3Cr5O16 at its relaxed geometry.

Lattice parameters (Å, degrees): 5.8519 5.8519 9.4507 89.55 89.55 59.94
Atoms (fractional coordinates):
O: 0.1626 0.6721 0.1019
O: 0.4819 0.4819 0.8370
O: 0.9616 0.5217 0.3383
O: 0.8377 0.8377 0.6038
O: 0.4865 0.0395 0.8393
O: 0.5217 0.9616 0.3383
O: 0.8325 0.3226 0.6005
Li: 0.9993 0.9993 0.4961
O: 0.6727 0.6727 0.1039
O: 0.6721 0.1626 0.1019
Cr: 0.3377 0.8303 0.2112
O: 0.0395 0.4865 0.8393
Cr: 0.3317 0.3317 0.9861
Cr: 0.1689 0.1689 0.7139
Mn: 0.6620 0.1693 0.7144
Cr: 0.6633 0.6633 0.4866
O: 0.3389 0.3389 0.6077
O: 0.5207 0.5207 0.3387
Li: 0.3357 0.3357 0.3915
O: 0.9951 0.9951 0.8115
Li: 0.9968 0.9968 0.9987
O: 0.1643 0.1643 0.1032
Cr: 0.8303 0.3377 0.2112
Mn: 0.8299 0.8299 0.2153
Li: 0.6702 0.6702 0.8923
O: 0.9950 0.9950 0.3100
O: 0.3226 0.8325 0.6005
Mn: 0.1693 0.6620 0.7144

Summary:
As for the calculated density: 4.201 g cm⁻³.


[4]
VASP calculation (PBE+U) on crystalline Fe5O7F3 at its relaxed geometry.

Lattice parameters (Å, degrees): 4.6699 4.6747 15.2170 89.61 89.92 87.26
Atoms (fractional coordinates):
O: 0.2974 0.6855 0.3995
O: 0.2003 0.1954 0.8986
Fe: 0.0132 0.0146 0.4011
Fe: 0.4756 0.4778 0.4985
O: 0.8042 0.7983 0.9002
Fe: 0.9995 0.0065 0.5999
Fe: 0.0040 0.0059 0.2036
Fe: 0.5001 0.5035 0.1009
O: 0.6900 0.3097 0.0057
Fe: 0.4759 0.4771 0.2995
F: 0.7126 0.3030 0.7962
F: 0.7956 0.8007 0.4979
O: 0.8263 0.8216 0.6976
O: 0.6890 0.3081 0.1988
F: 0.7972 0.7981 0.3001
O: 0.6836 0.2990 0.3995
O: 0.3282 0.6868 0.7989
Fe: 0.9973 0.0039 0.9908
O: 0.3063 0.6914 0.1990
Fe: 0.0173 0.9732 0.8044
F: 0.2112 0.2033 0.7010
O: 0.3018 0.6999 0.5962
O: 0.6949 0.3096 0.5978
F: 0.8073 0.8135 0.1026
Fe: 0.4899 0.5062 0.9054
O: 0.3026 0.6984 0.0084
O: 0.1801 0.1860 0.5028
Fe: 0.5243 0.5402 0.6946
F: 0.1892 0.1968 0.1010
O: 0.1850 0.1862 0.2995

Summary:
As for the calculated density: 4.486 g cm⁻³. The calculation puts the distance to the lowest polymorph of the same formula at 24 meV/atom.


[5]
VASP calculation (PBE+U) on crystalline La7SmFe8O24 at its relaxed geometry.

Lattice parameters (Å, degrees): 7.9025 7.9025 7.9025 90.00 90.00 90.00
Atoms (fractional coordinates):
Fe: 0.2497 0.7503 0.7503
La: 0.5000 0.5000 0.0000
O: 0.2500 0.5000 0.7500
La: 0.0000 0.5000 0.5000
O: 0.5000 0.7500 0.7500
O: 0.2489 0.0000 0.7511
O: 0.0000 0.2489 0.2489
O: 0.0000 0.7511 0.7511
O: 0.7511 0.0000 0.2489
O: 0.2500 0.5000 0.2500
Fe: 0.2497 0.2497 0.2497
O: 0.7511 0.7511 0.0000
O: 0.7511 0.2489 0.0000
O: 0.2489 0.7511 0.0000
Fe: 0.7503 0.7503 0.7503
O: 0.0000 0.7511 0.2489
O: 0.7500 0.5000 0.7500
O: 0.7511 0.0000 0.7511
O: 0.5000 0.2500 0.2500
Fe: 0.7503 0.7503 0.2497
O: 0.2489 0.2489 0.0000
La: 0.5000 0.0000 0.5000
Sm: 0.0000 0.0000 0.0000
Fe: 0.2497 0.2497 0.7503
La: 0.0000 0.5000 0.0000
Fe: 0.2497 0.7503 0.2497
La: 0.5000 0.5000 0.5000
O: 0.7500 0.2500 0.5000
O: 0.7500 0.7500 0.5000
O: 0.2500 0.2500 0.5000
La: 0.5000 0.0000 0.0000
O: 0.5000 0.2500 0.7500
O: 0.5000 0.7500 0.2500
O: 0.2489 0.0000 0.2489
Fe: 0.7503 0.2497 0.2497
O: 0.0000 0.2489 0.7511
Fe: 0.7503 0.2497 0.7503
La: 0.0000 0.0000 0.5000
O: 0.7500 0.5000 0.2500
O: 0.2500 0.7500 0.5000

Summary:
As for the calculated density: 6.573 g cm⁻³.


[6]
VASP calculation (PBE+U) on crystalline LiAl2V4O8 at its relaxed geometry.

Lattice parameters (Å, degrees): 5.9465 5.9019 6.0220 89.00 119.57 120.22
Atoms (fractional coordinates):
O: 0.9726 0.2256 0.2193
O: 0.4713 0.7543 0.2152
O: 0.0274 0.7744 0.7807
O: 0.0013 0.2453 0.7843
O: 0.5287 0.2457 0.7848
O: 0.4735 0.2266 0.2200
Al: 0.5000 0.0000 0.0000
O: 0.9987 0.7547 0.2157
O: 0.5265 0.7734 0.7800
V: 0.5000 0.0000 0.5000
Al: 0.0000 0.0000 0.0000
V: 0.5000 0.5000 0.5000
Li: 0.5000 0.5000 0.0000
V: 0.0000 0.5000 0.0000
V: 0.0000 0.5000 0.5000

Summary:
As for the calculated density: 4.314 g cm⁻³. The calculation puts the distance to the lowest polymorph of the same formula at 0 meV/atom.


[7]
VASP calculation (PBE+U) on crystalline Li6V3P8O29 at its relaxed geometry.

Lattice parameters (Å, degrees): 9.8044 9.8044 14.0004 89.22 89.22 60.06
Atoms (fractional coordinates):
O: 0.4834 0.3308 0.1677
O: 0.6540 0.0893 0.8319
O: 0.4846 0.6294 0.1717
P: 0.3312 0.3345 0.6288
P: 0.3194 0.7758 0.1576
V: 0.0013 0.5605 0.2502
P: 0.6859 0.2245 0.8408
P: 0.2245 0.6859 0.3408
O: 0.8093 0.5220 0.8218
O: 0.0893 0.6540 0.3319
O: 0.6672 0.2510 0.3364
V: 0.5648 0.4337 0.2524
O: 0.0808 0.2504 0.8348
O: 0.9809 0.2160 0.2586
Li: 0.3153 0.7720 0.9375
O: 0.7900 0.0173 0.0834
P: 0.0832 0.6874 0.8471
O: 0.3308 0.4834 0.6677
P: 0.6874 0.0832 0.3471
Li: 0.6716 0.6764 0.6085
O: 0.2127 0.7956 0.2507
O: 0.9025 0.4701 0.1640
O: 0.3855 0.5311 0.3257
P: 0.7758 0.3194 0.6576
O: 0.1850 0.4829 0.1679
V: 0.5605 0.0013 0.7502
O: 0.0051 0.2032 0.0789
O: 0.6687 0.6663 0.4738
O: 0.9072 0.6274 0.6670
O: 0.9217 0.7446 0.1563
Li: 0.2304 0.0997 0.0588
Li: 0.0329 0.9507 0.4972
Li: 0.9507 0.0329 0.9972
O: 0.2227 0.0030 0.9352
O: 0.0173 0.7900 0.5834
O: 0.2354 0.7649 0.0707
P: 0.7820 0.9147 0.1614
P: 0.6683 0.6635 0.3684
O: 0.6294 0.4846 0.6717
O: 0.3324 0.1829 0.1731
Li: 0.6690 0.0978 0.5623
O: 0.3333 0.3279 0.0224
O: 0.7649 0.2354 0.5707
O: 0.0877 0.3798 0.3304
O: 0.8144 0.6617 0.3202
O: 0.3279 0.3333 0.5224
Li: 0.6572 0.2416 0.0596
O: 0.9230 0.3370 0.6549
O: 0.6274 0.9072 0.1670
O: 0.7956 0.2127 0.7507
O: 0.5285 0.0909 0.3320
Li: 0.0997 0.2304 0.5588
O: 0.0909 0.5285 0.8320
O: 0.5220 0.8093 0.3218
O: 0.7699 0.0134 0.4399
O: 0.5085 0.6734 0.8357
O: 0.0030 0.2227 0.4352
O: 0.3798 0.0877 0.8304
V: 0.4337 0.5648 0.7524
O: 0.4701 0.9025 0.6640
O: 0.2510 0.6672 0.8364
O: 0.6617 0.8144 0.8202
O: 0.6734 0.5085 0.3357
P: 0.9147 0.7820 0.6614
P: 0.9108 0.3081 0.1596
O: 0.3370 0.9230 0.1549
V: 0.0008 0.4367 0.7533
Li: 0.2416 0.6572 0.5596
P: 0.0852 0.2250 0.3438
Li: 0.7720 0.3153 0.4375
O: 0.2160 0.9809 0.7586
O: 0.2191 0.7656 0.4326
P: 0.6635 0.6683 0.8684
O: 0.1829 0.3324 0.6731
P: 0.3345 0.3312 0.1288
V: 0.4367 0.0008 0.2533
O: 0.0134 0.7699 0.9399
P: 0.3081 0.9108 0.6596
O: 0.4829 0.1850 0.6679
O: 0.7656 0.2191 0.9326
Li: 0.0978 0.6690 0.0623
P: 0.2250 0.0852 0.8438
O: 0.7375 0.3418 0.1594
O: 0.5311 0.3855 0.8257
Li: 0.6764 0.6716 0.1085
O: 0.9809 0.8036 0.7617
O: 0.8036 0.9809 0.2617
O: 0.2032 0.0051 0.5789
O: 0.7446 0.9217 0.6563
O: 0.6663 0.6687 0.9738
O: 0.2504 0.0808 0.3348
O: 0.3418 0.7375 0.6594

Summary:
As for the calculated density: 2.581 g cm⁻³. The calculation puts the distance to the lowest polymorph of the same formula at 4 meV/atom.


[8]
VASP calculation (PBE+U) on crystalline Li5Mn3O8 at its relaxed geometry.

Lattice parameters (Å, degrees): 2.9181 5.9558 8.2522 89.98 90.69 91.94
Atoms (fractional coordinates):
Mn: 0.0043 0.7432 0.7370
O: 0.9628 0.2368 0.0098
O: 0.0372 0.7632 0.9902
Li: 0.9996 0.7431 0.2675
Li: 0.5000 0.5000 0.0000
O: 0.5186 0.9718 0.7532
O: 0.4908 0.5282 0.7510
Li: 0.0004 0.2569 0.7325
Li: 0.5000 0.0000 0.5000
Mn: 0.5000 0.0000 0.0000
O: 0.4814 0.0282 0.2468
Li: 0.5000 0.5000 0.5000
O: 0.0030 0.2490 0.4814
O: 0.5092 0.4718 0.2490
Mn: 0.9957 0.2568 0.2630
O: 0.9970 0.7510 0.5186

Summary:
As for the calculated density: 3.794 g cm⁻³. The calculation puts the distance to the lowest polymorph of the same formula at 42 meV/atom.


[9]
VASP calculation (PBE+U) on crystalline NiAg2O2 at its relaxed geometry.

Lattice parameters (Å, degrees): 7.9724 7.9724 7.9724 21.92 21.92 21.92
Atoms (fractional coordinates):
O: 0.3800 0.3800 0.3800
O: 0.6200 0.6200 0.6200
Ni: 0.0000 0.0000 0.0000
Ag: 0.7852 0.7852 0.7852
Ag: 0.2148 0.2148 0.2148

Summary:
As for the calculated density: 8.221 g cm⁻³.


| no. | ΔE_f (eV/atom) |
| --- | --- |
| 1 | -1.622 |
| 2 | -1.881 |
| 3 | -2.202 |
| 4 | -1.728 |
| 5 | -2.705 |
| 6 | -2.493 |
| 7 | -2.659 |
| 8 | -2.108 |
| 9 | -0.614 |